No. 1
A geometry-optimized Nb5Ga3 structure. Source: Materials Project, functional PBE.

Calculated values
* excess energy over the best structure of this formula in the dataset: 0 meV per atom
* space group: No. 140

Unit cell a=7.7559 b=7.7559 c=7.7559 alpha=96.23 beta=96.23 gamma=141.55
Fractional positions:
Nb1 0.2500 0.7500 0.5000
Nb2 0.7500 0.2500 0.5000
Nb3 0.2217 0.0756 0.2972
Nb4 0.7783 0.9244 0.7028
Nb5 0.2783 0.5756 0.8539
Nb6 0.7217 0.4244 0.1461
Nb7 0.0756 0.7783 0.8539
Nb8 0.9244 0.2217 0.1461
Nb9 0.5756 0.7217 0.2972
Nb10 0.4244 0.2783 0.7028
Ga1 0.7500 0.7500 0.0000
Ga2 0.2500 0.2500 0.0000
Ga3 0.6658 0.1658 0.8316
Ga4 0.3342 0.8342 0.1684
Ga5 0.8342 0.6658 0.5000
Ga6 0.1658 0.3342 0.5000

=====

No. 2
A geometry-optimized Na14La4Mg4Si5S7O48 structure. Source: Materials Project, functional PBE.

Calculated values
* space group: No. 1

Unit cell a=18.8889 b=9.3821 c=23.2154 alpha=89.91 beta=90.33 gamma=119.82
Fractional positions:
Na1 0.8069 0.9895 0.2530
Na2 0.1829 0.3496 0.2560
Na3 0.6857 0.3529 0.2531
Na4 0.0014 0.6517 0.2455
Na5 0.5154 0.6600 0.2420
Na6 0.3176 0.6202 0.7556
Na7 0.0143 0.3683 0.7428
Na8 0.4994 0.3691 0.7440
Na9 0.1889 0.0265 0.7520
Na10 0.6667 0.9940 0.7529
Na11 0.1501 0.3297 0.5821
Na12 0.6522 0.3227 0.5806
Na13 0.3296 0.9839 0.5930
Na14 0.8325 0.9968 0.5829
Na15 0.1588 0.9931 0.0703
Na16 0.6473 0.9680 0.0752
Na17 0.3348 0.6712 0.0766
Na18 0.8274 0.6732 0.0852
Na19 0.4852 0.6837 0.9164
Na20 0.9960 0.6893 0.9123
Na21 0.3380 0.0304 0.9084
Na22 0.8387 0.0346 0.9106
Na23 0.1723 0.2841 0.9108
Na24 0.6625 0.2836 0.9141
Na25 0.4971 0.3034 0.4174
Na26 0.9861 0.2924 0.4346
Na27 0.1688 0.0504 0.4254
Na28 0.6718 0.0609 0.4196
Na29 0.3429 0.6449 0.4177
Na30 0.8353 0.6435 0.4149
Na31 0.0152 0.0211 0.5049
Na32 0.5174 0.0131 0.4976
Na33 0.0183 0.0260 0.9908
Na34 0.5145 0.0063 0.9987
Na35 0.3275 0.3351 0.8265
Na36 0.8161 0.3217 0.8356
Na37 0.3196 0.3105 0.3370
Na38 0.8140 0.3156 0.3354
Na39 0.1690 0.6686 0.1634
Na40 0.6501 0.6471 0.1622
Na41 0.1539 0.6528 0.6673
Na42 0.6552 0.6662 0.6729
La1 0.0116 0.0144 0.6502
La2 0.5075 0.9939 0.6514
La3 0.0085 0.0130 0.1477
La4 0.5121 0.0093 0.1488
La5 0.8305 0.3337 0.6837
La6 0.3321 0.3280 0.1821
La7 0.1572 0.6521 0.0093
La8 0.6550 0.6494 0.0171
La9 0.1559 0.6650 0.5200
La10 0.6576 0.6637 0.5112
La11 0.1716 0.6776 0.3239
La12 0.6661 0.6627 0.8212
Mg1 0.0097 0.0133 0.3502
Mg2 0.5184 0.0221 0.3464
Mg3 0.0158 0.0124 0.8458
Mg4 0.5123 0.9863 0.8441
Mg5 0.3259 0.3377 0.6873
Mg6 0.8183 0.3086 0.1827
Mg7 0.3293 0.3325 0.9862
Mg8 0.8229 0.3225 0.9860
Mg9 0.3233 0.3268 0.4876
Mg10 0.8297 0.3295 0.4881
Mg11 0.6685 0.6636 0.3192
Mg12 0.1718 0.6780 0.8185
Si1 0.1485 0.9955 0.2533
Si2 0.6564 0.9931 0.2541
Si3 0.1546 0.3202 0.7545
Si4 0.6499 0.2994 0.7532
Si5 0.4923 0.6797 0.7544
Si6 0.9792 0.3272 0.5802
Si7 0.1950 0.0503 0.5850
Si8 0.6844 0.0341 0.5779
Si9 0.4793 0.6305 0.0809
Si10 0.1847 0.3375 0.0806
Si11 0.6928 0.3423 0.0849
Si12 0.1671 0.9730 0.9159
Si13 0.6692 0.9870 0.9172
Si14 0.1675 0.3524 0.4147
Si15 0.6673 0.3621 0.4142
S1 0.3540 0.7078 0.2542
S2 0.8494 0.6994 0.2537
S3 0.9939 0.2990 0.2539
S4 0.5055 0.3103 0.2596
S5 0.0062 0.7009 0.7597
S6 0.3462 0.9954 0.7534
S7 0.8559 0.0022 0.7548
S8 0.4723 0.3312 0.5822
S9 0.3340 0.6200 0.5809
S10 0.8335 0.6345 0.5758
S11 0.9728 0.6100 0.0851
S12 0.3319 0.0295 0.0766
S13 0.8339 0.0504 0.0828
S14 0.3202 0.6714 0.9133
S15 0.8301 0.6714 0.9212
S16 0.0087 0.3503 0.9099
S17 0.5017 0.3371 0.9147
S18 0.3305 0.9893 0.4202
S19 0.8219 0.9695 0.4102
S20 0.0035 0.6689 0.4120
S21 0.5101 0.6689 0.4083
O1 0.0931 0.0022 0.3056
O2 0.6106 0.0309 0.3069
O3 0.4000 0.8104 0.3044
O4 0.9019 0.7927 0.3031
O5 0.4975 0.2047 0.3097
O6 0.9844 0.1956 0.3049
O7 0.1066 0.1929 0.8077
O8 0.5958 0.1853 0.8066
O9 0.4796 0.7654 0.8118
O10 0.9974 0.7893 0.8099
O11 0.3994 0.0109 0.8030
O12 0.9032 0.9920 0.8045
O13 0.3802 0.9696 0.6987
O14 0.8918 0.9916 0.6993
O15 0.0969 0.2484 0.6952
O16 0.6041 0.2285 0.6899
O17 0.0110 0.7903 0.7056
O18 0.5117 0.8036 0.6994
O19 0.3901 0.7906 0.1991
O20 0.8840 0.7952 0.1992
O21 0.0057 0.2224 0.2017
O22 0.5105 0.2321 0.2054
O23 0.1011 0.9755 0.1908
O24 0.5999 0.9527 0.1948
O25 0.4319 0.3372 0.6356
O26 0.9389 0.3363 0.6416
O27 0.2468 0.1468 0.6422
O28 0.7310 0.1139 0.6396
O29 0.3347 0.5316 0.6331
O30 0.8276 0.5443 0.6291
O31 0.4419 0.5453 0.1443
O32 0.9327 0.5214 0.1389
O33 0.3259 0.1062 0.1310
O34 0.8352 0.1391 0.1361
O35 0.2272 0.3474 0.1442
O36 0.7412 0.3530 0.1449
O37 0.2360 0.3242 0.0270
O38 0.7394 0.3379 0.0267
O39 0.4253 0.5226 0.0260
O40 0.9312 0.5179 0.0323
O41 0.3354 0.1277 0.0261
O42 0.8406 0.1457 0.0303
O43 0.2355 0.1377 0.5232
O44 0.7347 0.1420 0.5222
O45 0.3402 0.5399 0.5272
O46 0.8379 0.5452 0.5242
O47 0.4310 0.3437 0.5292
O48 0.9294 0.3320 0.5227
O49 0.2843 0.6921 0.9682
O50 0.7932 0.7013 0.9735
O51 0.0605 0.4090 0.9633
O52 0.5615 0.4135 0.9631
O53 0.1467 0.8670 0.9781
O54 0.6568 0.8690 0.9735
O55 0.2919 0.8833 0.4711
O56 0.7876 0.8735 0.4645
O57 0.1534 0.4535 0.4674
O58 0.6486 0.4344 0.4747
O59 0.0637 0.7108 0.4598
O60 0.5620 0.7130 0.4613
O61 0.0393 0.6367 0.3593
O62 0.5546 0.6452 0.3600
O63 0.2725 0.9191 0.3703
O64 0.7653 0.8803 0.3617
O65 0.1829 0.4608 0.3545
O66 0.6796 0.4917 0.3619
O67 0.0535 0.4628 0.8618
O68 0.5384 0.4418 0.8626
O69 0.1786 0.8619 0.8657
O70 0.6879 0.9056 0.8601
O71 0.2636 0.6480 0.8649
O72 0.7712 0.6275 0.8724
O73 0.9893 0.8070 0.4054
O74 0.4935 0.8064 0.3992
O75 0.4084 0.9925 0.4088
O76 0.9035 0.9861 0.4022
O77 0.0832 0.1700 0.4122
O78 0.5845 0.1760 0.4095
O79 0.9922 0.1789 0.9013
O80 0.4881 0.1693 0.9075
O81 0.0840 0.9925 0.9090
O82 0.5838 0.9950 0.9123
O83 0.4007 0.8217 0.9071
O84 0.9083 0.8253 0.9096
O85 0.4724 0.1706 0.5789
O86 0.9799 0.1504 0.5773
O87 0.1032 0.0343 0.5835
O88 0.5953 0.0281 0.5756
O89 0.4012 0.7941 0.5804
O90 0.9045 0.8021 0.5770
O91 0.4812 0.8101 0.0779
O92 0.9719 0.7705 0.0830
O93 0.4025 0.0031 0.0781
O94 0.9020 0.0132 0.0831
O95 0.0945 0.1647 0.0768
O96 0.6021 0.1734 0.0820
O97 0.3409 0.1486 0.7495
O98 0.8579 0.1635 0.7588
O99 0.2437 0.3289 0.7475
O100 0.7373 0.2979 0.7561
O101 0.4131 0.4969 0.7442
O102 0.9355 0.5312 0.7589
O103 0.3534 0.5475 0.2583
O104 0.8471 0.5378 0.2502
O105 0.4346 0.3382 0.2592
O106 0.9214 0.3193 0.2477
O107 0.2375 0.1666 0.2559
O108 0.7487 0.1603 0.2473
O109 0.3290 0.5222 0.9167
O110 0.8463 0.5333 0.9283
O111 0.4238 0.3339 0.9254
O112 0.9305 0.3482 0.9190
O113 0.2515 0.1554 0.9198
O114 0.7525 0.1711 0.9226
O115 0.3458 0.1603 0.4273
O116 0.8302 0.1360 0.4144
O117 0.2523 0.3411 0.4222
O118 0.7523 0.3496 0.4187
O119 0.4315 0.5140 0.4172
O120 0.9249 0.5151 0.4231
O121 0.1799 0.5092 0.0802
O122 0.6865 0.5136 0.0858
O123 0.0603 0.6516 0.0862
O124 0.5757 0.6740 0.0834
O125 0.2550 0.8646 0.0757
O126 0.7559 0.8894 0.0827
O127 0.1890 0.8661 0.5874
O128 0.6805 0.8533 0.5789
O129 0.2553 0.6232 0.5806
O130 0.7572 0.6458 0.5739
O131 0.0760 0.4756 0.5837
O132 0.5599 0.4664 0.5835
O133 0.1530 0.8224 0.2536
O134 0.6652 0.8262 0.2631
O135 0.2669 0.6699 0.2536
O136 0.7654 0.6733 0.2592
O137 0.0687 0.4647 0.2581
O138 0.5820 0.4736 0.2625
O139 0.1656 0.5063 0.7629
O140 0.6606 0.4847 0.7538
O141 0.0827 0.6922 0.7629
O142 0.5769 0.6661 0.7561
O143 0.2626 0.8515 0.7597
O144 0.7698 0.8680 0.7548

=====

No. 3
A geometry-optimized Mn4Sb3As structure. Source: Materials Project, functional PBE.

Calculated values
* space group: No. 187

Unit cell a=3.9839 b=3.9839 c=11.2421 alpha=90.00 beta=90.00 gamma=120.00
Fractional positions:
Mn1 0.0000 0.0000 0.6160
Mn2 0.0000 0.0000 0.1257
Mn3 0.0000 0.0000 0.8743
Mn4 0.0000 0.0000 0.3840
Sb1 0.6667 0.3333 0.0000
Sb2 0.3333 0.6667 0.7468
Sb3 0.3333 0.6667 0.2532
As1 0.6667 0.3333 0.5000

=====

No. 4
A geometry-optimized Er3Rh2 structure. Source: Materials Project, functional PBE.

Calculated values
* space group: No. 140

Unit cell a=14.7939 b=14.7939 c=14.7939 alpha=135.77 beta=135.77 gamma=64.33
Fractional positions:
Er1 0.6321 0.5042 0.2791
Er2 0.2251 0.3530 0.7209
Er3 0.1321 0.8530 0.1279
Er4 0.7251 0.0042 0.8721
Er5 0.3530 0.6321 0.1279
Er6 0.5042 0.2251 0.8721
Er7 0.0042 0.1321 0.2791
Er8 0.8530 0.7251 0.7209
Er9 0.3679 0.4958 0.7209
Er10 0.7749 0.6470 0.2791
Er11 0.8679 0.1470 0.8721
Er12 0.2749 0.9958 0.1279
Er13 0.6470 0.3679 0.8721
Er14 0.4958 0.7749 0.1279
Er15 0.9958 0.8679 0.7209
Er16 0.1470 0.2749 0.2791
Er17 0.3863 0.5169 0.2902
Er18 0.2268 0.0961 0.7098
Er19 0.8863 0.5961 0.8693
Er20 0.7268 0.0169 0.1307
Er21 0.0961 0.3863 0.8693
Er22 0.5169 0.2268 0.1307
Er23 0.0169 0.8863 0.2902
Er24 0.5961 0.7268 0.7098
Er25 0.6137 0.4831 0.7098
Er26 0.7732 0.9039 0.2902
Er27 0.1137 0.4039 0.1307
Er28 0.2732 0.9831 0.8693
Er29 0.9039 0.6137 0.1307
Er30 0.4831 0.7732 0.8693
Er31 0.9831 0.1137 0.7098
Er32 0.4039 0.2732 0.2902
Er33 0.8496 0.3496 0.1992
Er34 0.1504 0.6504 0.8008
Er35 0.3496 0.1504 0.5000
Er36 0.6504 0.8496 0.5000
Er37 0.3881 0.8881 0.5000
Er38 0.8881 0.3881 0.5000
Er39 0.6119 0.1119 0.5000
Er40 0.1119 0.6119 0.5000
Er41 0.2500 0.7500 0.5000
Er42 0.7500 0.2500 0.5000
Rh1 0.7147 0.2147 0.1421
Rh2 0.0726 0.5726 0.8579
Rh3 0.2147 0.0726 0.5000
Rh4 0.5726 0.7147 0.5000
Rh5 0.2853 0.7853 0.8579
Rh6 0.9274 0.4274 0.1421
Rh7 0.7853 0.9274 0.5000
Rh8 0.4274 0.2853 0.5000
Rh9 0.4659 0.9659 0.8084
Rh10 0.1574 0.6574 0.1916
Rh11 0.9659 0.1574 0.5000
Rh12 0.6574 0.4659 0.5000
Rh13 0.5341 0.0341 0.1916
Rh14 0.8426 0.3426 0.8084
Rh15 0.0341 0.8426 0.5000
Rh16 0.3426 0.5341 0.5000
Rh17 0.5967 0.0967 0.6935
Rh18 0.4033 0.9033 0.3065
Rh19 0.0967 0.4033 0.5000
Rh20 0.9033 0.5967 0.5000
Rh21 0.3665 0.3665 0.0000
Rh22 0.8665 0.8665 0.0000
Rh23 0.6335 0.6335 0.0000
Rh24 0.1335 0.1335 0.0000
Rh25 0.5000 0.5000 0.0000
Rh26 0.0000 0.0000 0.0000
Rh27 0.2500 0.2500 0.0000
Rh28 0.7500 0.7500 0.0000

=====

No. 5
A geometry-optimized InH4CSeO7 structure. Source: Materials Project, functional PBE.

Calculated values
* space group: No. 2

Unit cell a=5.3978 b=7.2511 c=9.4794 alpha=99.55 beta=102.10 gamma=105.87
Fractional positions:
In1 0.8830 0.9553 0.6716
In2 0.1170 0.0447 0.3284
H1 0.2057 0.7247 0.6153
H2 0.7943 0.2753 0.3847
H3 0.1192 0.6814 0.7631
H4 0.8808 0.3186 0.2369
H5 0.6100 0.3099 0.0215
H6 0.3900 0.6901 0.9785
H7 0.8410 0.5151 0.0785
H8 0.1590 0.4849 0.9215
C1 0.1348 0.0810 0.0127
C2 0.8652 0.9190 0.9872
Se1 0.4762 0.6970 0.3674
Se2 0.5238 0.3030 0.6326
O1 0.0560 0.7134 0.6650
O2 0.9440 0.2866 0.3350
O3 0.4695 0.7364 0.5516
O4 0.5305 0.2636 0.4484
O5 0.2015 0.1270 0.8991
O6 0.7985 0.8730 0.1009
O7 0.7254 0.8417 0.8548
O8 0.2746 0.1583 0.1452
O9 0.7486 0.2046 0.7200
O10 0.2514 0.7954 0.2800
O11 0.7913 0.8782 0.4142
O12 0.2087 0.1218 0.5858
O13 0.7988 0.3741 0.0755
O14 0.2012 0.6259 0.9245

=====

No. 6
A geometry-optimized Cs2RbAlBr6 structure. Source: Materials Project, functional PBE.

Calculated values
* space group: No. 225

Unit cell a=8.2280 b=8.2280 c=8.2280 alpha=60.00 beta=60.00 gamma=60.00
Fractional positions:
Cs1 0.7500 0.7500 0.7500
Cs2 0.2500 0.2500 0.2500
Rb1 0.5000 0.5000 0.5000
Al1 0.0000 0.0000 0.0000
Br1 0.7824 0.2176 0.2176
Br2 0.2176 0.2176 0.7824
Br3 0.2176 0.7824 0.7824
Br4 0.2176 0.7824 0.2176
Br5 0.7824 0.2176 0.7824
Br6 0.7824 0.7824 0.2176

=====

| no. | formation energy (eV per atom) | E (eV/atom) |
| --- | --- | --- |
| 1 | -0.332 | -7.781 |
| 2 | -2.614 | -6.337 |
| 3 | -0.055 | -6.767 |
| 4 | -0.807 | -6.494 |
| 5 | -1.444 | -5.649 |
| 6 | -1.840 | -3.153 |